Here is crystalline KMg3AlSi3O10F2 at its relaxed geometry from the Materials Project database. Energies are from PBE-GGA.

a b c (Å): 5.803 12.993 7.202
angles (deg): 90.00 90.05 90.00
Space group P2_1 (No. 4)
Inequivalent atoms, fractional coordinates:
1 K 0.234 0.000 0.441 x2
2 Mg 0.096 0.476 0.133 x2
3 Mg 0.447 0.094 0.903 x2
4 Mg 0.468 0.833 0.101 x2
5 Al 0.448 0.265 0.281 x2
6 Si 0.001 0.301 0.857 x2
7 Si 0.059 0.764 0.746 x2
8 Si 0.275 0.667 0.429 x2
9 O 0.032 0.719 0.961 x2
10 O 0.070 0.666 0.594 x2
11 O 0.109 0.910 0.069 x2
12 O 0.176 0.336 0.285 x2
13 O 0.219 0.769 0.291 x2
14 O 0.247 0.305 0.763 x2
15 O 0.285 0.836 0.704 x2
16 O 0.296 0.569 0.291 x2
17 O 0.476 0.211 0.063 x2
18 O 0.478 0.179 0.467 x2
19 F 0.169 0.055 0.785 x2
20 F 0.407 0.470 0.985 x2

Computed properties:
E above lowest polymorph in meV per atom: 188.7
Total moment in μB/f.u.: 0.00
Calculated density in g cm⁻³: 2.58
DFT formation energy in eV/atom: -3.140